# LiGd3 (PBE, optimized geometry)
data_LiGd3
_chemical_formula_sum 'Li2 Gd6'
_cell_length_a 7.0464
_cell_length_b 7.0464
_cell_length_c 5.5787
_cell_angle_alpha 90.00
_cell_angle_beta 90.00
_cell_angle_gamma 120.00
_symmetry_space_group_name_H-M 'P 63/m m c'
_symmetry_Int_Tables_number 194
_symmetry_space_group_name_Hall '-P 6c 2c'
loop_
_atom_site_label
_atom_site_fract_x
_atom_site_fract_y
_atom_site_fract_z
_atom_site_occupancy
Li1 0.3333 0.6667 0.2500 1
Gd1 0.1698 0.3397 0.7500 1
# total moment: 47.36 μB per cell

# SrMg14W (PBE, optimized geometry)
data_SrMg14W
_chemical_formula_sum 'Sr1 Mg14 W1'
_cell_length_a 6.4656
_cell_length_b 6.4656
_cell_length_c 10.3119
_cell_angle_alpha 90.00
_cell_angle_beta 90.00
_cell_angle_gamma 120.00
_symmetry_space_group_name_H-M 'P -6 m 2'
_symmetry_Int_Tables_number 187
_symmetry_space_group_name_Hall 'P -6 2'
loop_
_atom_site_label
_atom_site_fract_x
_atom_site_fract_y
_atom_site_fract_z
_atom_site_occupancy
Sr1 0.0000 0.0000 0.0000 1
Mg1 0.0119 0.5060 0.0000 1
Mg2 0.1643 0.3285 0.2732 1
Mg3 0.5030 0.0061 0.5000 1
Mg4 0.6667 0.3333 0.2421 1
W1 0.0000 0.0000 0.5000 1
# total moment: 0.97 μB per cell

# Sr2MgCu3O5 (PBE, optimized geometry)
data_Sr2MgCu3O5
_chemical_formula_sum 'Sr2 Mg1 Cu3 O5'
_cell_length_a 3.347
_cell_length_b 3.765
_cell_length_c 12.232
_cell_angle_alpha 90.53
_cell_angle_beta 95.79
_cell_angle_gamma 90.25
_symmetry_space_group_name_H-M 'P 1'
_symmetry_Int_Tables_number 1
_symmetry_space_group_name_Hall 'P 1'
loop_
_atom_site_label
_atom_site_fract_x
_atom_site_fract_y
_atom_site_fract_z
_atom_site_occupancy
Sr1 0.000 0.000 0.000 1
Sr2 0.159 0.006 0.349 1
Mg1 0.119 0.511 0.541 1
Cu1 0.458 0.497 0.827 1
Cu2 0.579 0.504 0.168 1
Cu3 0.757 0.008 0.691 1
O1 0.136 0.012 0.589 1
O2 0.490 0.501 0.999 1
O3 0.502 0.997 0.820 1
O4 0.593 0.510 0.433 1
O5 0.604 0.005 0.195 1
# total moment: 0.40 μB per cell

Below is SmDyFe4 after structural relaxation, with properties calculated at the PBE level.

Cell and atoms, written as CIF:
```
data_SmDyFe4
_chemical_formula_sum 'Sm4 Dy4 Fe16'
_cell_length_a 7.320
_cell_length_b 7.320
_cell_length_c 7.320
_cell_angle_alpha 90.00
_cell_angle_beta 90.00
_cell_angle_gamma 90.00
_symmetry_space_group_name_H-M 'F -4 3 m'
_symmetry_Int_Tables_number 216
_symmetry_space_group_name_Hall 'F -4 2 3'
loop_
_atom_site_label
_atom_site_fract_x
_atom_site_fract_y
_atom_site_fract_z
_atom_site_occupancy
Sm1 0.000 0.000 0.000 1
Dy1 0.250 0.250 0.750 1
Fe1 0.125 0.125 0.375 1
```

Below is PbSeO3 after structural relaxation, with properties calculated at the PBE level.

Cell and atoms, written as CIF:
```
data_PbSeO3
_chemical_formula_sum 'Pb2 Se2 O6'
_cell_length_a 4.598
_cell_length_b 5.615
_cell_length_c 6.759
_cell_angle_alpha 90.00
_cell_angle_beta 106.86
_cell_angle_gamma 90.00
_symmetry_space_group_name_H-M 'P 1 21/m 1'
_symmetry_Int_Tables_number 11
_symmetry_space_group_name_Hall '-P 2yb'
loop_
_atom_site_label
_atom_site_fract_x
_atom_site_fract_y
_atom_site_fract_z
_atom_site_occupancy
Pb1 0.134 0.250 0.305 1
Se1 0.413 0.250 0.836 1
O1 0.200 0.750 0.120 1
O2 0.300 0.014 0.663 1
```

# KSm2N7 (PBE, optimized geometry)
data_KSm2N7
_chemical_formula_sum 'K4 Sm8 N28'
_cell_length_a 6.461
_cell_length_b 12.329
_cell_length_c 15.004
_cell_angle_alpha 90.00
_cell_angle_beta 90.00
_cell_angle_gamma 90.00
_symmetry_space_group_name_H-M 'P n n m'
_symmetry_Int_Tables_number 58
_symmetry_space_group_name_Hall '-P 2 2n'
loop_
_atom_site_label
_atom_site_fract_x
_atom_site_fract_y
_atom_site_fract_z
_atom_site_occupancy
K1 0.171 0.187 0.000 1
Sm1 0.120 0.667 0.229 1
N1 0.000 0.500 0.254 1
N2 0.100 0.372 0.402 1
N3 0.136 0.233 0.178 1
N4 0.157 0.288 0.384 1
# total moment: 8.00 μB per cell

# Eu2SiO5 (PBE, optimized geometry)
data_Eu2SiO5
_chemical_formula_sum 'Eu8 Si4 O20'
_cell_length_a 10.654
_cell_length_b 3.746
_cell_length_c 10.980
_cell_angle_alpha 90.00
_cell_angle_beta 90.00
_cell_angle_gamma 90.00
_symmetry_space_group_name_H-M 'P n m a'
_symmetry_Int_Tables_number 62
_symmetry_space_group_name_Hall '-P 2ac 2n'
loop_
_atom_site_label
_atom_site_fract_x
_atom_site_fract_y
_atom_site_fract_z
_atom_site_occupancy
Eu1 0.095 0.250 0.211 1
Eu2 0.135 0.250 0.558 1
Si1 0.182 0.250 0.874 1
O1 0.009 0.750 0.603 1
O2 0.032 0.250 0.844 1
O3 0.216 0.750 0.877 1
O4 0.224 0.250 0.022 1
O5 0.231 0.750 0.244 1
# total moment: 48.00 μB per cell

Below is TmCuSb2 after structural relaxation, with properties calculated at the PBE level.

Cell and atoms, written as CIF:
```
data_TmCuSb2
_chemical_formula_sum 'Tm2 Cu2 Sb4'
_cell_length_a 4.292
_cell_length_b 4.292
_cell_length_c 9.834
_cell_angle_alpha 90.00
_cell_angle_beta 90.00
_cell_angle_gamma 90.00
_symmetry_space_group_name_H-M 'P 4/n m m'
_symmetry_Int_Tables_number 129
loop_
_symmetry_equiv_pos_as_xyz
'x,y,z'
'-x,-y,-z'
'-y+1/2,x,z'
'y+1/2,-x,-z'
'-x+1/2,-y+1/2,z'
'x+1/2,y+1/2,-z'
'y,-x+1/2,z'
'-y,x+1/2,-z'
'x+1/2,-y,-z'
'-x+1/2,y,z'
'-y,-x,-z'
'y,x,z'
'-x,y+1/2,-z'
'x,-y+1/2,z'
'y+1/2,x+1/2,-z'
'-y+1/2,-x+1/2,z'
loop_
_atom_site_label
_atom_site_fract_x
_atom_site_fract_y
_atom_site_fract_z
_atom_site_occupancy
Tm1 0.250 0.250 0.249 1
Cu1 0.250 0.750 0.500 1
Sb1 0.250 0.250 0.665 1
Sb2 0.250 0.750 0.000 1
```

Q: Which electronic total energy values were calculated for the entries above? A: -87.12; -33.62; -59.25; -173.42; -54.54; -270.34; -291.68; -38.10, in eV for the cell shown.